Material: NaCoCSO7
Method: DFT, PBE+U
State: relaxed

a = 5.1604 Å, b = 6.6462 Å, c = 8.9455 Å
α = 90.00°, β = 92.06°, γ = 90.00°
With the nearest neighbours (Å) after each atom.
Space group P2_1 (No. 4)
One atom of each set of equivalent atoms:
Na  0.2343  0.0000  0.2685 (multiplicity 2)  4 O 2.25-2.44
Co  0.2172  0.2153  0.8445 (multiplicity 2)  5 O 1.93-2.08
C  0.2759  0.2366  0.5827 (multiplicity 2)  3 O 1.24-1.32
S  0.2768  0.7252  0.9276 (multiplicity 2)  4 O 1.47-1.51
O  0.0503  0.2329  0.6468 (multiplicity 2)  1 C 1.32
O  0.1389  0.7358  0.0721 (multiplicity 2)  1 S 1.50
O  0.1963  0.5442  0.8413 (multiplicity 2)  1 S 1.48
O  0.2216  0.9023  0.8330 (multiplicity 2)  1 S 1.47
O  0.3086  0.2337  0.4463 (multiplicity 2)  1 C 1.24
O  0.4364  0.2104  0.0351 (multiplicity 2)  1 S 1.51
O  0.4629  0.2400  0.6876 (multiplicity 2)  1 C 1.32

Spin magnetization = 2.00 μB per formula unit
Energy = -6.325 eV per atom
Calculated volume = 306.61 Å³/cell
ΔH_f (0 K) = -171.81 kJ/mol of atoms
Energy with MP2020 corrections = -6.91 eV per atom


Material: Na2CoSiCO7
Method: DFT, PBE+U
State: relaxed

a = 9.5882 Å, b = 6.3079 Å, c = 10.2971 Å
α = 90.00°, β = 90.77°, γ = 90.00°
With the nearest neighbours (Å) after each atom.
Space group P2_1/m (No. 11)
One atom of each set of equivalent atoms:
Na  0.2385  0.0059  0.1275 (multiplicity 4)  5 O 2.34-2.60
Na  0.2415  0.5018  0.6149 (multiplicity 4)  5 O 2.26-2.47
Co  0.3656  0.7500  0.9086 (multiplicity 2)  4 O 1.86-1.97
Co  0.3989  0.7500  0.3947 (multiplicity 2)  4 O 1.89-1.92
Si  0.4245  0.2500  0.8478 (multiplicity 2)  4 O 1.63-1.66
Si  0.4346  0.2500  0.3366 (multiplicity 2)  4 O 1.64-1.66
C  0.0583  0.7500  0.3646 (multiplicity 2)  3 O 1.28
C  0.0772  0.7500  0.8649 (multiplicity 2)  3 O 1.27-1.31
O  0.0544  0.2500  0.1198 (multiplicity 2)  1 C 1.27
O  0.0748  0.2500  0.6323 (multiplicity 2)  1 C 1.28
O  0.1204  0.7500  0.2555 (multiplicity 2)  1 C 1.28
O  0.1303  0.7500  0.4700 (multiplicity 2)  1 C 1.28
O  0.1357  0.7500  0.7546 (multiplicity 2)  1 C 1.27
O  0.1577  0.7500  0.9692 (multiplicity 2)  1 C 1.31
O  0.3351  0.0396  0.8934 (multiplicity 4)  1 Si 1.65
O  0.3426  0.0337  0.3673 (multiplicity 4)  1 Si 1.66
O  0.4157  0.7500  0.0951 (multiplicity 2)  1 Si 1.63
O  0.4184  0.7500  0.5802 (multiplicity 2)  1 Si 1.64
O  0.4237  0.2500  0.6865 (multiplicity 2)  1 Si 1.66
O  0.4591  0.2500  0.1773 (multiplicity 2)  1 Si 1.66

Spin magnetization = 0.02 μB per formula unit
Energy = -6.443 eV per atom
Calculated volume = 622.73 Å³/cell
Polymorph energy (0 for the lowest one) = 0.0056 eV per atom
ΔH_f (0 K) = -198.79 kJ/mol of atoms
Energy with MP2020 corrections = -6.98 eV per atom


Material: Na2CoSiCO7
Method: DFT, PBE+U
State: relaxed

a = 10.2994 Å, b = 6.2920 Å, c = 10.8717 Å
α = 90.00°, β = 117.39°, γ = 90.00°
With the nearest neighbours (Å) after each atom.
Space group P2_1/m (No. 11)
One atom of each set of equivalent atoms:
Na  0.0041  0.0008  0.2434 (multiplicity 4)  4 O 2.27-2.45
Na  0.4927  0.5040  0.2379 (multiplicity 4)  5 O 2.35-2.48
Co  0.2164  0.7500  0.6254 (multiplicity 2)  4 O 1.86-1.95
Co  0.2949  0.2500  0.4003 (multiplicity 2)  4 O 1.88-1.92
Si  0.1198  0.2500  0.5704 (multiplicity 2)  4 O 1.64-1.66
Si  0.3667  0.7500  0.4261 (multiplicity 2)  4 O 1.64-1.66
C  0.1642  0.2500  0.0561 (multiplicity 2)  3 O 1.28
C  0.3292  0.7500  0.9251 (multiplicity 2)  3 O 1.27-1.31
O  0.0477  0.7500  0.4447 (multiplicity 2)  1 Si 1.66
O  0.0874  0.2500  0.1208 (multiplicity 2)  1 C 1.28
O  0.1018  0.2500  0.9239 (multiplicity 2)  1 C 1.28
O  0.1189  0.2500  0.4194 (multiplicity 2)  1 Si 1.64
O  0.1909  0.7500  0.8774 (multiplicity 2)  1 C 1.27
O  0.2039  0.0370  0.6614 (multiplicity 4)  1 Si 1.65
O  0.2844  0.5324  0.3399 (multiplicity 4)  1 Si 1.66
O  0.3039  0.2500  0.1241 (multiplicity 2)  1 C 1.28
O  0.3811  0.7500  0.5832 (multiplicity 2)  1 Si 1.64
O  0.3847  0.7500  0.8387 (multiplicity 2)  1 C 1.31
O  0.4160  0.7500  0.0549 (multiplicity 2)  1 C 1.28
O  0.4700  0.2500  0.5705 (multiplicity 2)  1 Si 1.66

Spin magnetization = 0.01 μB per formula unit
Energy = -6.443 eV per atom
Calculated volume = 625.52 Å³/cell
Polymorph energy (0 for the lowest one) = 0.0062 eV per atom
ΔH_f (0 K) = -198.73 kJ/mol of atoms
Energy with MP2020 corrections = -6.98 eV per atom


Material: Na2CoSiCO7
Method: DFT, PBE+U
State: relaxed

a = 5.1482 Å, b = 11.4486 Å, c = 11.4544 Å
α = 66.92°, β = 88.87°, γ = 88.84°
With the nearest neighbours (Å) after each atom.
Space group P1 (No. 1)
One atom of each set of equivalent atoms:
Na  0.0000  0.0000  0.0000 (multiplicity 1)  5 O 2.32-2.56
Na  0.0006  0.2554  0.7429 (multiplicity 1)  5 O 2.32-2.56
Na  0.0073  0.7524  0.2463 (multiplicity 1)  5 O 2.32-2.53
Na  0.0092  0.5018  0.4955 (multiplicity 1)  5 O 2.32-2.54
Na  0.5071  0.7461  0.7388 (multiplicity 1)  4 O 2.27-2.43
Na  0.5108  0.9940  0.4913 (multiplicity 1)  5 O 2.28-2.54
Na  0.5223  0.4888  0.9859 (multiplicity 1)  5 O 2.31-2.48
Na  0.5261  0.2423  0.2324 (multiplicity 1)  5 O 2.31-2.48
Co  0.5586  0.0626  0.8062 (multiplicity 1)  5 O 1.88-2.10
Co  0.5705  0.5495  0.2933 (multiplicity 1)  4 O 1.88-1.92
Co  0.9550  0.6857  0.9300 (multiplicity 1)  4 O 1.87-1.94
Co  0.9572  0.1839  0.4291 (multiplicity 1)  4 O 1.87-1.94
Si  0.0814  0.4584  0.2028 (multiplicity 1)  4 O 1.64-1.65
Si  0.0826  0.9640  0.7087 (multiplicity 1)  4 O 1.63-1.67
Si  0.4367  0.7817  0.0279 (multiplicity 1)  4 O 1.64-1.66
Si  0.4376  0.2834  0.5249 (multiplicity 1)  4 O 1.63-1.67
C  0.0338  0.5341  0.7746 (multiplicity 1)  3 O 1.27-1.30
C  0.0383  0.0314  0.2792 (multiplicity 1)  3 O 1.27-1.30
C  0.4800  0.2110  0.9542 (multiplicity 1)  3 O 1.27-1.31
C  0.5001  0.7170  0.4615 (multiplicity 1)  3 O 1.28
O  0.0007  0.3073  0.2644 (multiplicity 1)  1 Si 1.65
O  0.0028  0.5212  0.0512 (multiplicity 1)  1 Si 1.65
O  0.0177  0.0227  0.5554 (multiplicity 1)  1 Si 1.65
O  0.0194  0.8105  0.7684 (multiplicity 1)  1 Si 1.65
O  0.1150  0.7734  0.0225 (multiplicity 1)  1 Si 1.66
O  0.1160  0.2767  0.5167 (multiplicity 1)  1 Si 1.67
O  0.2516  0.1873  0.9302 (multiplicity 1)  1 C 1.27
O  0.2631  0.5553  0.8001 (multiplicity 1)  1 C 1.27
O  0.2660  0.0578  0.3014 (multiplicity 1)  1 C 1.27
O  0.2820  0.6866  0.4305 (multiplicity 1)  1 C 1.28
O  0.4025  0.4615  0.2053 (multiplicity 1)  1 Si 1.65
O  0.4040  0.9726  0.7164 (multiplicity 1)  1 Si 1.67
O  0.5032  0.7836  0.5286 (multiplicity 1)  1 C 1.28
O  0.5038  0.2247  0.6784 (multiplicity 1)  1 Si 1.66
O  0.5044  0.9350  0.9689 (multiplicity 1)  1 Si 1.66
O  0.5095  0.4362  0.4616 (multiplicity 1)  1 Si 1.66
O  0.5100  0.7179  0.1806 (multiplicity 1)  1 Si 1.66
O  0.5271  0.2760  0.0195 (multiplicity 1)  1 C 1.27
O  0.5834  0.7066  0.9492 (multiplicity 1)  1 Si 1.64
O  0.5859  0.2046  0.4505 (multiplicity 1)  1 Si 1.63
O  0.6788  0.1670  0.9102 (multiplicity 1)  1 C 1.31
O  0.7121  0.6808  0.4254 (multiplicity 1)  1 C 1.28
O  0.8364  0.5798  0.8163 (multiplicity 1)  1 C 1.30
O  0.8388  0.0725  0.3247 (multiplicity 1)  1 C 1.30
O  0.9302  0.0402  0.7844 (multiplicity 1)  1 Si 1.63
O  0.9424  0.5368  0.2810 (multiplicity 1)  1 Si 1.64
O  0.9901  0.4690  0.7088 (multiplicity 1)  1 C 1.28
O  0.9957  0.9660  0.2137 (multiplicity 1)  1 C 1.28

Spin magnetization = 0.00 μB per formula unit
Energy = -6.445 eV per atom
Calculated volume = 620.92 Å³/cell
Polymorph energy (0 for the lowest one) = 0.0038 eV per atom
ΔH_f (0 K) = -198.96 kJ/mol of atoms
Energy with MP2020 corrections = -6.98 eV per atom


Material: Na2CoSiCO7
Method: DFT, PBE+U
State: relaxed

a = 5.1334 Å, b = 11.6134 Å, c = 11.6204 Å
α = 65.30°, β = 88.88°, γ = 88.92°
With the nearest neighbours (Å) after each atom.
Space group P1 (No. 1)
One atom of each set of equivalent atoms:
Na  0.0000  0.0000  0.0000 (multiplicity 1)  5 O 2.31-2.47
Na  0.0000  0.4988  0.5008 (multiplicity 1)  5 O 2.30-2.48
Na  0.5027  0.7428  0.7428 (multiplicity 1)  5 O 2.31-2.51
Na  0.5055  0.2411  0.2422 (multiplicity 1)  5 O 2.33-2.48
Na  0.5049  0.4930  0.9933 (multiplicity 1)  5 O 2.31-2.51
Na  0.5081  0.9911  0.4922 (multiplicity 1)  5 O 2.34-2.48
Na  0.9960  0.2502  0.7497 (multiplicity 1)  5 O 2.31-2.47
Na  0.9978  0.7487  0.2505 (multiplicity 1)  5 O 2.30-2.48
Co  0.5635  0.8016  0.0519 (multiplicity 1)  4 O 1.87-1.93
Co  0.5652  0.2967  0.5468 (multiplicity 1)  4 O 1.87-1.92
Co  0.9390  0.4435  0.1943 (multiplicity 1)  4 O 1.87-1.92
Co  0.9394  0.9449  0.6962 (multiplicity 1)  4 O 1.87-1.92
Si  0.0725  0.2078  0.4590 (multiplicity 1)  4 O 1.65-1.66
Si  0.0748  0.7100  0.9607 (multiplicity 1)  4 O 1.64-1.66
Si  0.4299  0.5326  0.2840 (multiplicity 1)  4 O 1.65-1.66
Si  0.4313  0.0342  0.7836 (multiplicity 1)  4 O 1.65-1.66
C  0.0137  0.7753  0.5267 (multiplicity 1)  3 O 1.28
C  0.0161  0.2767  0.0268 (multiplicity 1)  3 O 1.28
C  0.4862  0.9631  0.2139 (multiplicity 1)  3 O 1.28-1.29
C  0.4900  0.4659  0.7165 (multiplicity 1)  3 O 1.28
O  0.9997  0.7757  0.8085 (multiplicity 1)  1 Si 1.66
O  0.0011  0.2116  0.9617 (multiplicity 1)  1 C 1.28
O  0.0086  0.7103  0.4611 (multiplicity 1)  1 C 1.28
O  0.1074  0.5288  0.2808 (multiplicity 1)  1 Si 1.66
O  0.1090  0.0315  0.7807 (multiplicity 1)  1 Si 1.66
O  0.2325  0.8060  0.5561 (multiplicity 1)  1 C 1.28
O  0.2384  0.3044  0.0552 (multiplicity 1)  1 C 1.28
O  0.2582  0.9383  0.1894 (multiplicity 1)  1 C 1.28
O  0.2681  0.4371  0.6885 (multiplicity 1)  1 C 1.28
O  0.3950  0.2105  0.4617 (multiplicity 1)  1 Si 1.66
O  0.3972  0.7149  0.9651 (multiplicity 1)  1 Si 1.66
O  0.5025  0.5309  0.7820 (multiplicity 1)  1 C 1.28
O  0.5069  0.4661  0.4356 (multiplicity 1)  1 Si 1.65
O  0.5080  0.6840  0.2196 (multiplicity 1)  1 Si 1.65
O  0.5076  0.9692  0.9353 (multiplicity 1)  1 Si 1.65
O  0.5125  0.1852  0.7171 (multiplicity 1)  1 Si 1.65
O  0.5167  0.0278  0.2786 (multiplicity 1)  1 C 1.28
O  0.5668  0.4561  0.2067 (multiplicity 1)  1 Si 1.65
O  0.5669  0.9559  0.7078 (multiplicity 1)  1 Si 1.65
O  0.6869  0.9226  0.1733 (multiplicity 1)  1 C 1.29
O  0.6987  0.4296  0.6789 (multiplicity 1)  1 C 1.28
O  0.8016  0.8100  0.5631 (multiplicity 1)  1 C 1.28
O  0.8083  0.3146  0.0640 (multiplicity 1)  1 C 1.28
O  0.9358  0.7866  0.0371 (multiplicity 1)  1 Si 1.64
O  0.9377  0.2857  0.5355 (multiplicity 1)  1 Si 1.65
O  0.9911  0.0567  0.5255 (multiplicity 1)  1 Si 1.65
O  0.9946  0.2742  0.3074 (multiplicity 1)  1 Si 1.65
O  0.9977  0.5581  0.0256 (multiplicity 1)  1 Si 1.65

Spin magnetization = 4.21 μB per formula unit
Energy = -6.429 eV per atom
Calculated volume = 629.22 Å³/cell
Polymorph energy (0 for the lowest one) = 0.0197 eV per atom
ΔH_f (0 K) = -197.43 kJ/mol of atoms
Energy with MP2020 corrections = -6.97 eV per atom


Material: Na2CoSiCO7
Method: DFT, PBE+U
State: relaxed

a = 5.1507 Å, b = 9.6698 Å, c = 12.5845 Å
α = 89.90°, β = 89.98°, γ = 89.16°
With the nearest neighbours (Å) after each atom.
Space group P-1 (No. 2)
One atom of each set of equivalent atoms:
Na  0.2413  0.2575  0.2485 (multiplicity 2)  5 O 2.29-2.47
Na  0.2443  0.2582  0.5036 (multiplicity 2)  5 O 2.34-2.56
Na  0.2456  0.2571  0.9982 (multiplicity 2)  5 O 2.30-2.46
Na  0.2533  0.2590  0.7492 (multiplicity 2)  5 O 2.35-2.55
Co  0.1866  0.8989  0.1257 (multiplicity 2)  4 O 1.87-1.92
Co  0.1936  0.8780  0.6248 (multiplicity 2)  4 O 1.87-1.94
Si  0.3167  0.9232  0.8758 (multiplicity 2)  4 O 1.64-1.66
Si  0.3207  0.9315  0.3746 (multiplicity 2)  4 O 1.64-1.66
C  0.2549  0.5612  0.1256 (multiplicity 2)  3 O 1.28
C  0.2728  0.5708  0.6242 (multiplicity 2)  3 O 1.27-1.30
O  0.0366  0.6257  0.1278 (multiplicity 2)  1 C 1.28
O  0.0734  0.6541  0.6228 (multiplicity 2)  1 C 1.30
O  0.1773  0.0839  0.3770 (multiplicity 2)  1 Si 1.64
O  0.1844  0.0790  0.8727 (multiplicity 2)  1 Si 1.64
O  0.2295  0.8401  0.9846 (multiplicity 2)  1 Si 1.65
O  0.2365  0.4405  0.6253 (multiplicity 2)  1 C 1.28
O  0.2381  0.8344  0.7687 (multiplicity 2)  1 Si 1.65
O  0.2451  0.8435  0.2664 (multiplicity 2)  1 Si 1.66
O  0.2525  0.8383  0.4811 (multiplicity 2)  1 Si 1.65
O  0.2649  0.4292  0.1233 (multiplicity 2)  1 C 1.28
O  0.3577  0.0554  0.6270 (multiplicity 2)  1 Si 1.66
O  0.3621  0.0712  0.1234 (multiplicity 2)  1 Si 1.66
O  0.4663  0.6293  0.1258 (multiplicity 2)  1 C 1.28
O  0.4996  0.3794  0.3756 (multiplicity 2)  1 C 1.27

Spin magnetization = 0.08 μB per formula unit
Energy = -6.446 eV per atom
Calculated volume = 626.71 Å³/cell
Polymorph energy (0 for the lowest one) = 0.0031 eV per atom
ΔH_f (0 K) = -199.03 kJ/mol of atoms
Energy with MP2020 corrections = -6.98 eV per atom